A geometry-optimized PrPt5 structure, computed with meta-GGA r2SCAN.

a b c (Å): 5.4039 5.4039 4.4008
angles (deg): 90.00 90.00 120.00
Closest atoms and distances in Å follow each position.
Fractional positions:
Pr1 0.0000 0.0000 0.0000  18 Pt 3.12-3.48
Pt1 0.0000 0.5000 0.5000  8 Pt 2.70
Pt2 0.3333 0.6667 0.0000  6 Pt 2.70
Pt3 0.5000 0.0000 0.5000  8 Pt 2.70
Pt4 0.5000 0.5000 0.5000  8 Pt 2.70
Pt5 0.6667 0.3333 0.0000  6 Pt 2.70

Spin magnetization = 0.000 μB per atom
Space group = P6/mmm, No. 191
ΔE_f = -457.9 kJ/mol of formula units